Entry 1:
A plane-wave DFT calculation with PBE with a Hubbard U was carried out for K2NiAuF6 after structural relaxation.

Calculated values
As for the formation energy: -2213 meV per atom. The space-group type is Fm-3m, No. 225. Its crystal system is cubic. As for the total energy: -3.958 eV/atom.

abc: 6.032 6.032 6.032
angles: 60.00 60.00 60.00
Element x y z (fractional)
F (0.229, 0.771, 0.229)
F (0.771, 0.229, 0.229)
F (0.229, 0.229, 0.771)
F (0.771, 0.229, 0.771)
F (0.229, 0.771, 0.771)
F (0.771, 0.771, 0.229)
Au (0.500, 0.500, 0.500)
K (0.250, 0.250, 0.250)
K (0.750, 0.750, 0.750)
Ni (0.000, 0.000, 0.000)



Entry 2:
A plane-wave DFT calculation with PBE with a Hubbard U was carried out for Na2MnAuF6 after structural relaxation.

Calculated values
As for the formation energy: -2269 meV per atom. The space-group type is Fm-3m, No. 225. Its crystal system is cubic. As for the total energy: -4.482 eV/atom.

abc: 6.108 6.108 6.108
angles: 60.00 60.00 60.00
Element x y z (fractional)
F (0.226, 0.226, 0.774)
F (0.774, 0.774, 0.226)
F (0.774, 0.226, 0.226)
F (0.226, 0.774, 0.774)
F (0.774, 0.226, 0.774)
F (0.226, 0.774, 0.226)
Mn (0.000, 0.000, 0.000)
Na (0.250, 0.250, 0.250)
Na (0.750, 0.750, 0.750)
Au (0.500, 0.500, 0.500)



Entry 3:
A plane-wave DFT calculation with PBE with a Hubbard U was carried out for Rb2MnAuF6 after structural relaxation.

Calculated values
As for the formation energy: -2443 meV per atom. The space-group type is Fm-3m, No. 225. Its crystal system is cubic. As for the total energy: -4.588 eV/atom.

abc: 6.252 6.252 6.252
angles: 60.00 60.00 60.00
Element x y z (fractional)
Au (0.500, 0.500, 0.500)
F (0.777, 0.777, 0.223)
F (0.223, 0.223, 0.777)
F (0.777, 0.223, 0.223)
F (0.777, 0.223, 0.777)
F (0.223, 0.777, 0.777)
F (0.223, 0.777, 0.223)
Rb (0.750, 0.750, 0.750)
Rb (0.250, 0.250, 0.250)
Mn (0.000, 0.000, 0.000)



Entry 4:
A plane-wave DFT calculation with PBE with a Hubbard U was carried out for Na2MoAuF6 after structural relaxation.

Calculated values
As for the formation energy: -2187 meV per atom. The space-group type is Fm-3m, No. 225. Its crystal system is cubic. As for the total energy: -4.414 eV/atom.

abc: 6.344 6.344 6.344
angles: 60.00 60.00 60.00
Element x y z (fractional)
F (0.230, 0.230, 0.770)
F (0.230, 0.770, 0.230)
F (0.770, 0.230, 0.770)
F (0.770, 0.230, 0.230)
F (0.770, 0.770, 0.230)
F (0.230, 0.770, 0.770)
Au (0.500, 0.500, 0.500)
Na (0.750, 0.750, 0.750)
Na (0.250, 0.250, 0.250)
Mo (0.000, 0.000, 0.000)



Entry 5:
A plane-wave DFT calculation with PBE with a Hubbard U was carried out for Na2VAuF6 after structural relaxation.

Calculated values
As for the formation energy: -2327 meV per atom. The space-group type is Fm-3m, No. 225. Its crystal system is cubic. As for the total energy: -4.528 eV/atom.

abc: 6.161 6.161 6.161
angles: 60.00 60.00 60.00
Element x y z (fractional)
Au (0.500, 0.500, 0.500)
F (0.223, 0.777, 0.223)
F (0.223, 0.223, 0.777)
F (0.223, 0.777, 0.777)
F (0.777, 0.223, 0.223)
F (0.777, 0.777, 0.223)
F (0.777, 0.223, 0.777)
Na (0.250, 0.250, 0.250)
Na (0.750, 0.750, 0.750)
V (0.000, 0.000, 0.000)



Entry 6:
A plane-wave DFT calculation with PBE with a Hubbard U was carried out for NiAu2F8 after structural relaxation.

Calculated values
As for the formation energy: -1613 meV per atom. The space-group type is P2_1/c, No. 14. Its crystal system is monoclinic. As for the total energy: -3.559 eV/atom.

abc: 5.698 5.571 10.968
angles: 70.44 90.00 90.00
Element x y z (fractional)
F (0.812, 0.175, 0.523)
F (0.283, 0.338, 0.449)
F (0.384, 0.432, 0.185)
F (0.707, 0.073, 0.781)
F (0.783, 0.662, 0.051)
F (0.688, 0.175, 0.023)
F (0.293, 0.927, 0.219)
F (0.207, 0.927, 0.719)
F (0.884, 0.568, 0.315)
F (0.217, 0.338, 0.949)
F (0.793, 0.073, 0.281)
F (0.312, 0.825, 0.977)
F (0.116, 0.432, 0.685)
F (0.717, 0.662, 0.551)
F (0.188, 0.825, 0.477)
F (0.616, 0.568, 0.815)
Ni (0.500, 0.500, 0.000)
Ni (0.000, 0.500, 0.500)
Au (0.284, 0.130, 0.332)
Au (0.784, 0.870, 0.168)
Au (0.716, 0.870, 0.668)
Au (0.216, 0.130, 0.832)



Entry 7:
A plane-wave DFT calculation with PBE with a Hubbard U was carried out for Rb2NiAuF6 after structural relaxation.

Calculated values
As for the formation energy: -2211 meV per atom. The space-group type is Fm-3m, No. 225. Its crystal system is cubic. As for the total energy: -3.930 eV/atom.

abc: 6.099 6.099 6.099
angles: 60.00 60.00 60.00
Element x y z (fractional)
F (0.228, 0.772, 0.228)
F (0.228, 0.228, 0.772)
F (0.772, 0.772, 0.228)
F (0.772, 0.228, 0.772)
F (0.772, 0.228, 0.228)
F (0.228, 0.772, 0.772)
Au (0.500, 0.500, 0.500)
Rb (0.250, 0.250, 0.250)
Rb (0.750, 0.750, 0.750)
Ni (0.000, 0.000, 0.000)



Entry 8:
A plane-wave DFT calculation with PBE with a Hubbard U was carried out for MnAuO2 after structural relaxation.

Calculated values
As for the formation energy: -1354 meV per atom. The space-group type is R-3m, No. 166. Its crystal system is trigonal. As for the total energy: -6.176 eV/atom.

abc: 6.419 6.419 6.419
angles: 28.52 28.52 28.52
Element x y z (fractional)
O (0.888, 0.888, 0.888)
O (0.112, 0.112, 0.112)
Au (0.000, 0.000, 0.000)
Mn (0.500, 0.500, 0.500)



Entry 9:
A plane-wave DFT calculation with PBE with a Hubbard U was carried out for MnAuO2 after structural relaxation.

Calculated values
As for the formation energy: -1375 meV per atom. The space-group type is P-1, No. 2. Its crystal system is triclinic. As for the total energy: -6.198 eV/atom.

abc: 3.244 5.310 6.524
angles: 85.67 72.80 95.05
Element x y z (fractional)
O (0.315, 0.450, 0.336)
O (0.687, 0.550, 0.665)
O (0.185, 0.050, 0.664)
O (0.813, 0.950, 0.335)
Au (0.997, 0.000, 0.000)
Au (0.503, 0.500, 0.000)
Mn (0.750, 0.250, 0.500)
Mn (0.250, 0.750, 0.500)



Entry 10:
A plane-wave DFT calculation with PBE with a Hubbard U was carried out for Ba2MnB6O12 after structural relaxation.

Calculated values
As for the formation energy: -2954 meV per atom. As for the total energy: -7.837 eV/atom.

abc: 7.192 12.331 12.456
angles: 80.31 90.00 73.05
Element x y z (fractional)
Mn (0.250, 0.500, 0.750)
Mn (0.000, 0.000, 0.000)
Mn (0.500, 0.000, 0.500)
Mn (0.750, 0.500, 0.250)
O (0.179, 0.876, 0.142)
O (0.679, 0.124, 0.482)
O (0.003, 0.618, 0.422)
O (0.929, 0.624, 0.232)
O (0.497, 0.382, 0.078)
O (0.314, 0.124, 0.599)
O (0.753, 0.382, 0.710)
O (0.564, 0.624, 0.349)
O (0.186, 0.876, 0.901)
O (0.429, 0.376, 0.892)
O (0.747, 0.618, 0.790)
O (0.747, 0.882, 0.828)
O (0.064, 0.624, 0.849)
O (0.429, 0.624, 0.732)
O (0.571, 0.624, 0.108)
O (0.247, 0.882, 0.328)
O (0.929, 0.376, 0.392)
O (0.247, 0.618, 0.290)
O (0.814, 0.124, 0.099)
O (0.753, 0.118, 0.672)
O (0.071, 0.624, 0.608)
O (0.436, 0.376, 0.651)
O (0.997, 0.382, 0.578)
O (0.321, 0.124, 0.358)
O (0.573, 0.118, 0.228)
O (0.821, 0.124, 0.858)
O (0.571, 0.376, 0.268)
O (0.677, 0.382, 0.522)
O (0.253, 0.382, 0.210)
O (0.686, 0.876, 0.401)
O (0.323, 0.618, 0.478)
O (0.679, 0.876, 0.642)
O (0.821, 0.876, 0.018)
O (0.427, 0.882, 0.772)
O (0.071, 0.376, 0.768)
O (0.936, 0.376, 0.151)
O (0.179, 0.124, 0.982)
O (0.073, 0.118, 0.728)
O (0.503, 0.882, 0.960)
O (0.321, 0.876, 0.518)
O (0.503, 0.618, 0.922)
O (0.997, 0.118, 0.540)
O (0.927, 0.882, 0.272)
O (0.003, 0.882, 0.460)
O (0.497, 0.118, 0.040)
O (0.253, 0.118, 0.172)
O (0.823, 0.618, 0.978)
O (0.177, 0.382, 0.022)
B (0.885, 0.619, 0.870)
B (0.365, 0.881, 0.880)
B (0.133, 0.619, 0.507)
B (0.117, 0.881, 0.243)
B (0.135, 0.119, 0.620)
B (0.367, 0.381, 0.993)
B (0.553, 0.619, 0.813)
B (0.383, 0.119, 0.257)
B (0.697, 0.881, 0.937)
B (0.947, 0.381, 0.687)
B (0.447, 0.381, 0.187)
B (0.865, 0.881, 0.380)
B (0.615, 0.381, 0.630)
B (0.197, 0.881, 0.437)
B (0.883, 0.119, 0.757)
B (0.867, 0.381, 0.493)
B (0.803, 0.119, 0.563)
B (0.303, 0.119, 0.063)
B (0.385, 0.619, 0.370)
B (0.617, 0.881, 0.743)
B (0.053, 0.619, 0.313)
B (0.635, 0.119, 0.120)
B (0.115, 0.381, 0.130)
B (0.633, 0.619, 0.007)
Ba (0.094, 0.812, 0.698)
Ba (0.156, 0.688, 0.052)
Ba (0.406, 0.188, 0.802)
Ba (0.844, 0.312, 0.948)
Ba (0.906, 0.188, 0.302)
Ba (0.656, 0.688, 0.552)
Ba (0.344, 0.312, 0.448)
Ba (0.594, 0.812, 0.198)



Entry 11:
A plane-wave DFT calculation with PBE with a Hubbard U was carried out for Co2BiBP2O10 after structural relaxation.

Calculated values
As for the formation energy: -2300 meV per atom. The space-group type is P2_1/m, No. 11. Its crystal system is monoclinic. As for the total energy: -6.984 eV/atom.

abc: 5.121 6.505 11.390
angles: 90.00 90.00 107.90
Element x y z (fractional)
B (0.936, 0.515, 0.250)
B (0.064, 0.485, 0.750)
Bi (0.252, 0.937, 0.750)
Bi (0.748, 0.063, 0.250)
O (0.038, 0.345, 0.645)
O (0.354, 0.636, 0.750)
O (0.962, 0.655, 0.355)
O (0.038, 0.345, 0.855)
O (0.593, 0.347, 0.546)
O (0.356, 0.004, 0.375)
O (0.878, 0.617, 0.750)
O (0.962, 0.655, 0.145)
O (0.932, 0.179, 0.448)
O (0.356, 0.004, 0.124)
O (0.068, 0.821, 0.552)
O (0.646, 0.364, 0.250)
O (0.407, 0.653, 0.046)
O (0.644, 0.996, 0.624)
O (0.122, 0.383, 0.250)
O (0.594, 0.347, 0.954)
O (0.407, 0.653, 0.454)
O (0.068, 0.821, 0.948)
O (0.932, 0.179, 0.052)
O (0.644, 0.996, 0.875)
P (0.204, 0.786, 0.436)
P (0.796, 0.214, 0.564)
P (0.796, 0.214, 0.936)
P (0.204, 0.786, 0.064)
Co (0.647, 0.662, 0.895)
Co (0.353, 0.338, 0.395)
Co (0.352, 0.339, 0.104)
Co (0.648, 0.661, 0.604)



Entry 12:
A plane-wave DFT calculation with PBE with a Hubbard U was carried out for YFe6BiB8O24 after structural relaxation.

Calculated values
As for the formation energy: -2425 meV per atom. The space-group type is P2, No. 3. Its crystal system is monoclinic. As for the total energy: -7.508 eV/atom.

abc: 9.664 6.134 7.568
angles: 67.26 90.00 90.00
Element x y z (fractional)
O (0.144, 0.500, 0.500)
O (0.428, 0.643, 0.072)
O (0.079, 0.026, 0.286)
O (0.795, 0.092, 0.292)
O (0.119, 0.365, 0.914)
O (0.296, 0.911, 0.206)
O (0.294, 0.788, 0.672)
O (0.622, 0.373, 0.410)
O (0.643, 0.500, 0.000)
O (0.411, 0.500, 0.500)
O (0.582, 0.035, 0.792)
O (0.929, 0.642, 0.574)
O (0.294, 0.212, 0.328)
O (0.428, 0.357, 0.928)
O (0.803, 0.205, 0.834)
O (0.119, 0.635, 0.086)
O (0.582, 0.965, 0.208)
O (0.079, 0.974, 0.714)
O (0.803, 0.795, 0.166)
O (0.296, 0.089, 0.794)
O (0.911, 0.500, 0.000)
O (0.795, 0.908, 0.708)
O (0.622, 0.627, 0.590)
O (0.929, 0.358, 0.426)
Fe (0.777, 0.450, 0.222)
Fe (0.275, 0.554, 0.275)
Fe (0.275, 0.446, 0.725)
Fe (0.777, 0.550, 0.778)
Fe (0.948, 0.000, 0.500)
Fe (0.447, 0.000, 0.000)
B (0.554, 0.500, 0.500)
B (0.221, 0.946, 0.725)
B (0.725, 0.947, 0.220)
B (0.221, 0.054, 0.275)
B (0.000, 0.500, 0.500)
B (0.725, 0.053, 0.780)
B (0.054, 0.500, 0.000)
B (0.500, 0.500, 0.000)
Y (0.999, 0.000, 0.000)
Bi (0.499, 0.000, 0.500)



| no. | total energy after the MP2020 corrections (eV/atom) |
| --- | --- |
| 1 | -4.49 |
| 2 | -4.93 |
| 3 | -5.03 |
| 4 | -5.01 |
| 5 | -4.98 |
| 6 | -4.13 |
| 7 | -4.46 |
| 8 | -6.94 |
| 9 | -6.96 |
| 10 | -8.31 |
| 11 | -7.62 |
| 12 | -8.26 |